No. 1
A plane-wave DFT calculation with PBE was carried out for an optimized crystal structure of LiNd2RuO6.

Unit cell a=5.804 b=5.456 c=9.476 alpha=55.20 beta=90.00 gamma=90.00
Atoms (fractional coordinates):
Li 0.500 0.500 0.000
Li 0.000 0.500 0.500
Nd 0.071 0.732 0.751
Nd 0.929 0.268 0.249
Nd 0.571 0.268 0.749
Nd 0.429 0.732 0.251
Ru 0.500 0.000 0.500
Ru 0.000 0.000 0.000
O 0.314 0.657 0.548
O 0.686 0.343 0.452
O 0.814 0.343 0.952
O 0.186 0.657 0.048
O 0.469 0.855 0.744
O 0.531 0.145 0.256
O 0.969 0.145 0.756
O 0.031 0.855 0.244
O 0.788 0.765 0.553
O 0.212 0.235 0.447
O 0.288 0.235 0.947
O 0.712 0.765 0.053

Summary:
space-group type	P2_1/c
formation energy from the elements	-2804	meV per atom
final energy	-7.4330	eV/atom
M_tot	3.00	μB per formula unit

=====

No. 2
A plane-wave DFT calculation with PBE was carried out for an optimized crystal structure of Li4Nd3SbTeO12.

Unit cell a=11.049 b=11.089 c=11.091 alpha=108.96 beta=109.38 gamma=109.50
Atoms (fractional coordinates):
Li 0.130 0.756 0.881
Li 0.127 0.872 0.248
Li 0.248 0.127 0.873
Li 0.280 0.643 0.392
Li 0.366 0.644 0.753
Li 0.407 0.451 0.698
Li 0.368 0.221 0.612
Li 0.608 0.724 0.354
Li 0.751 0.875 0.129
Li 0.628 0.374 0.251
Li 0.747 0.376 0.622
Li 0.894 0.141 0.754
Li 0.744 0.946 0.544
Li 0.839 0.210 0.134
Li 0.050 0.449 0.251
Li 0.898 0.205 0.959
Nd 0.260 0.882 0.630
Nd 0.130 0.378 0.755
Nd 0.131 0.250 0.377
Nd 0.618 0.873 0.749
Nd 0.268 0.381 0.131
Nd 0.386 0.761 0.128
Nd 0.618 0.252 0.879
Nd 0.380 0.123 0.248
Nd 0.754 0.629 0.877
Nd 0.875 0.746 0.626
Nd 0.742 0.126 0.368
Nd 0.865 0.635 0.252
Sb 0.503 0.000 0.499
Sb 0.504 0.505 0.502
Sb 0.499 0.497 0.995
Sb 0.497 0.001 0.997
Te 0.003 0.004 0.005
Te 0.004 0.005 0.502
Te 0.005 0.507 0.506
Te 0.002 0.501 0.001
O 0.093 0.977 0.668
O 0.025 0.330 0.910
O 0.125 0.597 0.934
O 0.079 0.693 0.674
O 0.073 0.887 0.403
O 0.098 0.618 0.424
O 0.173 0.479 0.597
O 0.415 0.832 0.798
O 0.300 0.327 0.918
O 0.379 0.566 0.884
O 0.175 0.198 0.581
O 0.016 0.195 0.120
O 0.330 0.919 0.301
O 0.179 0.560 0.176
O 0.414 0.832 0.533
O 0.301 0.475 0.379
O 0.328 0.911 0.029
O 0.121 0.028 0.197
O 0.406 0.084 0.881
O 0.525 0.622 0.702
O 0.525 0.406 0.821
O 0.382 0.320 0.499
O 0.193 0.123 0.027
O 0.585 0.906 0.377
O 0.432 0.091 0.628
O 0.814 0.885 0.983
O 0.626 0.706 0.528
O 0.466 0.590 0.161
O 0.476 0.379 0.307
O 0.594 0.922 0.117
O 0.889 0.002 0.826
O 0.669 0.087 0.960
O 0.704 0.535 0.626
O 0.592 0.172 0.469
O 0.814 0.428 0.833
O 0.688 0.065 0.680
O 0.981 0.816 0.884
O 0.826 0.819 0.432
O 0.698 0.672 0.078
O 0.624 0.422 0.093
O 0.586 0.174 0.196
O 0.836 0.534 0.411
O 0.905 0.382 0.570
O 0.923 0.116 0.594
O 0.940 0.326 0.332
O 0.884 0.383 0.066
O 0.974 0.663 0.099
O 0.911 0.033 0.336

Summary:
space-group type	P1
formation energy from the elements	-2727	meV per atom
final energy	-6.5532	eV/atom
M_tot	0.00	μB per formula unit

=====

No. 3
A plane-wave DFT calculation with PBE was carried out for an optimized crystal structure of Li3Nd3Te2O12.

Unit cell a=11.005 b=11.005 c=11.005 alpha=109.47 beta=109.47 gamma=109.47
Atoms (fractional coordinates):
Li 0.125 0.750 0.875
Li 0.125 0.875 0.250
Li 0.250 0.625 0.375
Li 0.250 0.125 0.875
Li 0.375 0.625 0.750
Li 0.375 0.250 0.625
Li 0.625 0.750 0.375
Li 0.625 0.375 0.250
Li 0.750 0.875 0.125
Li 0.750 0.375 0.625
Li 0.875 0.125 0.750
Li 0.875 0.250 0.125
Nd 0.750 0.125 0.375
Nd 0.625 0.875 0.750
Nd 0.875 0.625 0.250
Nd 0.125 0.250 0.375
Nd 0.750 0.625 0.875
Nd 0.625 0.250 0.875
Nd 0.375 0.750 0.125
Nd 0.250 0.375 0.125
Nd 0.875 0.750 0.625
Nd 0.125 0.375 0.750
Nd 0.375 0.125 0.250
Nd 0.250 0.875 0.625
Te 0.000 0.500 0.500
Te 0.000 0.500 0.000
Te 0.000 0.000 0.500
Te 0.000 0.000 0.000
Te 0.500 0.500 0.500
Te 0.500 0.000 0.500
Te 0.500 0.500 0.000
Te 0.500 0.000 0.000
O 0.406 0.076 0.883
O 0.424 0.094 0.617
O 0.424 0.830 0.807
O 0.906 0.383 0.576
O 0.406 0.830 0.523
O 0.670 0.094 0.977
O 0.924 0.117 0.594
O 0.924 0.307 0.330
O 0.670 0.076 0.693
O 0.523 0.617 0.693
O 0.693 0.670 0.076
O 0.617 0.424 0.094
O 0.523 0.406 0.830
O 0.906 0.023 0.330
O 0.170 0.477 0.594
O 0.807 0.883 0.977
O 0.617 0.693 0.523
O 0.170 0.193 0.576
O 0.023 0.193 0.117
O 0.193 0.576 0.170
O 0.117 0.594 0.924
O 0.023 0.330 0.906
O 0.883 0.977 0.807
O 0.693 0.523 0.617
O 0.307 0.477 0.383
O 0.117 0.023 0.193
O 0.977 0.670 0.094
O 0.883 0.406 0.076
O 0.807 0.424 0.830
O 0.977 0.807 0.883
O 0.830 0.807 0.424
O 0.383 0.307 0.477
O 0.193 0.117 0.023
O 0.830 0.523 0.406
O 0.094 0.977 0.670
O 0.477 0.594 0.170
O 0.383 0.576 0.906
O 0.307 0.330 0.924
O 0.477 0.383 0.307
O 0.330 0.924 0.307
O 0.076 0.693 0.670
O 0.076 0.883 0.406
O 0.330 0.906 0.023
O 0.594 0.170 0.477
O 0.094 0.617 0.424
O 0.576 0.170 0.193
O 0.576 0.906 0.383
O 0.594 0.924 0.117

Summary:
space-group type	Ia-3d
formation energy from the elements	-2723	meV per atom
final energy	-6.5950	eV/atom
M_tot	0.00	μB per formula unit

=====

Copy entry 2 word for word.
A plane-wave DFT calculation with PBE was carried out for an optimized crystal structure of Li4Nd3SbTeO12.

Unit cell a=11.049 b=11.089 c=11.091 alpha=108.96 beta=109.38 gamma=109.50
Atoms (fractional coordinates):
Li 0.130 0.756 0.881
Li 0.127 0.872 0.248
Li 0.248 0.127 0.873
Li 0.280 0.643 0.392
Li 0.366 0.644 0.753
Li 0.407 0.451 0.698
Li 0.368 0.221 0.612
Li 0.608 0.724 0.354
Li 0.751 0.875 0.129
Li 0.628 0.374 0.251
Li 0.747 0.376 0.622
Li 0.894 0.141 0.754
Li 0.744 0.946 0.544
Li 0.839 0.210 0.134
Li 0.050 0.449 0.251
Li 0.898 0.205 0.959
Nd 0.260 0.882 0.630
Nd 0.130 0.378 0.755
Nd 0.131 0.250 0.377
Nd 0.618 0.873 0.749
Nd 0.268 0.381 0.131
Nd 0.386 0.761 0.128
Nd 0.618 0.252 0.879
Nd 0.380 0.123 0.248
Nd 0.754 0.629 0.877
Nd 0.875 0.746 0.626
Nd 0.742 0.126 0.368
Nd 0.865 0.635 0.252
Sb 0.503 0.000 0.499
Sb 0.504 0.505 0.502
Sb 0.499 0.497 0.995
Sb 0.497 0.001 0.997
Te 0.003 0.004 0.005
Te 0.004 0.005 0.502
Te 0.005 0.507 0.506
Te 0.002 0.501 0.001
O 0.093 0.977 0.668
O 0.025 0.330 0.910
O 0.125 0.597 0.934
O 0.079 0.693 0.674
O 0.073 0.887 0.403
O 0.098 0.618 0.424
O 0.173 0.479 0.597
O 0.415 0.832 0.798
O 0.300 0.327 0.918
O 0.379 0.566 0.884
O 0.175 0.198 0.581
O 0.016 0.195 0.120
O 0.330 0.919 0.301
O 0.179 0.560 0.176
O 0.414 0.832 0.533
O 0.301 0.475 0.379
O 0.328 0.911 0.029
O 0.121 0.028 0.197
O 0.406 0.084 0.881
O 0.525 0.622 0.702
O 0.525 0.406 0.821
O 0.382 0.320 0.499
O 0.193 0.123 0.027
O 0.585 0.906 0.377
O 0.432 0.091 0.628
O 0.814 0.885 0.983
O 0.626 0.706 0.528
O 0.466 0.590 0.161
O 0.476 0.379 0.307
O 0.594 0.922 0.117
O 0.889 0.002 0.826
O 0.669 0.087 0.960
O 0.704 0.535 0.626
O 0.592 0.172 0.469
O 0.814 0.428 0.833
O 0.688 0.065 0.680
O 0.981 0.816 0.884
O 0.826 0.819 0.432
O 0.698 0.672 0.078
O 0.624 0.422 0.093
O 0.586 0.174 0.196
O 0.836 0.534 0.411
O 0.905 0.382 0.570
O 0.923 0.116 0.594
O 0.940 0.326 0.332
O 0.884 0.383 0.066
O 0.974 0.663 0.099
O 0.911 0.033 0.336

Summary:
space-group type	P1
formation energy from the elements	-2727	meV per atom
final energy	-6.5532	eV/atom
M_tot	0.00	μB per formula unit

=====

- Number 2 is which compound?
  Li4Nd3SbTeO12

=====

- What is the M_tot in the second record?
  0.00 μB per formula unit